{"formula": "K2Li2CuI2O2", "functional": "GGA-PBE", "state": "optimized geometry", "cell": [[-2.079, 2.079, 11.746], [2.079, -2.079, 11.746], [2.079, 2.079, -11.746]], "species": ["K", "K", "Li", "Li", "Cu", "I", "I", "O", "O"], "fractional_positions": [[0.067, 0.067, 0.000], [0.933, 0.933, 0.000], [0.250, 0.750, 0.500], [0.750, 0.250, 0.500], [0.500, 0.500, 0.000], [0.324, 0.324, 0.000], [0.676, 0.676, 0.000], [0.000, 0.500, 0.500], [0.500, 0.000, 0.500]], "ef_ev_per_fu": -10.00, "crystal_system": "tetragonal"}

---

{"formula": "K2CuMoI6", "functional": "GGA-PBE", "state": "optimized geometry", "cell": [[0.000, 5.702, 5.702], [5.702, 0.000, 5.702], [5.702, 5.702, 0.000]], "species": ["K", "K", "Cu", "Mo", "I", "I", "I", "I", "I", "I"], "fractional_positions": [[0.250, 0.250, 0.250], [0.750, 0.750, 0.750], [0.000, 0.000, 0.000], [0.500, 0.500, 0.500], [0.252, 0.252, 0.748], [0.252, 0.748, 0.252], [0.252, 0.748, 0.748], [0.748, 0.252, 0.252], [0.748, 0.252, 0.748], [0.748, 0.748, 0.252]], "ef_ev_per_fu": -7.99, "crystal_system": "cubic"}

---

{"formula": "K2NdCuI6", "functional": "GGA-PBE", "state": "optimized geometry", "cell": [[0.000, 5.966, 5.966], [5.966, 0.000, 5.966], [5.966, 5.966, 0.000]], "species": ["K", "K", "Nd", "Cu", "I", "I", "I", "I", "I", "I"], "fractional_positions": [[0.250, 0.250, 0.250], [0.750, 0.750, 0.750], [0.000, 0.000, 0.000], [0.500, 0.500, 0.500], [0.260, 0.260, 0.740], [0.260, 0.740, 0.260], [0.260, 0.740, 0.740], [0.740, 0.260, 0.260], [0.740, 0.260, 0.740], [0.740, 0.740, 0.260]], "ef_ev_per_fu": -13.15, "crystal_system": "cubic"}

---

{"formula": "K2CuI2O", "functional": "GGA-PBE", "state": "optimized geometry", "cell": [[5.339, 0.000, 0.000], [0.000, 5.339, 0.000], [0.000, 0.000, 6.660]], "species": ["K", "K", "Cu", "I", "I", "O"], "fractional_positions": [[0.000, 0.500, 0.000], [0.500, 0.000, 0.000], [0.000, 0.000, 0.500], [0.000, 0.500, 0.500], [0.500, 0.000, 0.500], [0.000, 0.000, 0.000]], "ef_ev_per_fu": -3.83, "crystal_system": "tetragonal"}

---

{"formula": "K4CuI2O20", "functional": "GGA-PBE", "state": "optimized geometry", "cell": [[8.931, 0.000, 0.000], [0.000, 10.635, 0.000], [-7.082, 0.000, 10.633]], "species": ["K", "K", "K", "K", "K", "K", "K", "K", "Cu", "Cu", "I", "I", "I", "I", "O", "O", "O", "O", "O", "O", "O", "O", "O", "O", "O", "O", "O", "O", "O", "O", "O", "O", "O", "O", "O", "O", "O", "O", "O", "O", "O", "O", "O", "O", "O", "O", "O", "O", "O", "O", "O", "O", "O", "O"], "fractional_positions": [[0.067, 0.058, 0.209], [0.067, 0.442, 0.709], [0.412, 0.689, 0.198], [0.412, 0.811, 0.698], [0.588, 0.189, 0.302], [0.588, 0.311, 0.802], [0.933, 0.558, 0.291], [0.933, 0.942, 0.791], [0.000, 0.000, 0.500], [0.000, 0.500, 0.000], [0.082, 0.240, 0.976], [0.082, 0.260, 0.476], [0.918, 0.740, 0.524], [0.918, 0.760, 0.024], [0.045, 0.608, 0.127], [0.045, 0.892, 0.627], [0.117, 0.658, 0.557], [0.117, 0.842, 0.057], [0.121, 0.196, 0.855], [0.121, 0.304, 0.355], [0.133, 0.133, 0.600], [0.133, 0.367, 0.100], [0.259, 0.146, 0.105], [0.259, 0.354, 0.605], [0.410, 0.673, 0.963], [0.410, 0.827, 0.463], [0.436, 0.061, 0.852], [0.436, 0.439, 0.352], [0.459, 0.549, 0.533], [0.459, 0.951, 0.033], [0.481, 0.133, 0.569], [0.481, 0.367, 0.069], [0.482, 0.520, 0.878], [0.482, 0.980, 0.378], [0.518, 0.020, 0.622], [0.518, 0.480, 0.122], [0.519, 0.633, 0.931], [0.519, 0.867, 0.431], [0.541, 0.049, 0.967], [0.541, 0.451, 0.467], [0.564, 0.561, 0.648], [0.564, 0.939, 0.148], [0.590, 0.173, 0.537], [0.590, 0.327, 0.037], [0.741, 0.646, 0.395], [0.741, 0.854, 0.895], [0.867, 0.633, 0.900], [0.867, 0.867, 0.400], [0.879, 0.696, 0.645], [0.879, 0.804, 0.145], [0.883, 0.158, 0.943], [0.883, 0.342, 0.443], [0.955, 0.108, 0.373], [0.955, 0.392, 0.873]], "ef_ev_per_fu": -13.33, "crystal_system": "monoclinic", "e_above_lowest_polymorph_ev_per_fu": 4.63}

---

{"formula": "K4CuI2O20", "functional": "GGA-PBE", "state": "optimized geometry", "cell": [[9.138, 0.000, 0.000], [0.000, 10.779, 0.000], [-7.357, 0.000, 10.716]], "species": ["K", "K", "K", "K", "K", "K", "K", "K", "Cu", "Cu", "I", "I", "I", "I", "O", "O", "O", "O", "O", "O", "O", "O", "O", "O", "O", "O", "O", "O", "O", "O", "O", "O", "O", "O", "O", "O", "O", "O", "O", "O", "O", "O", "O", "O", "O", "O", "O", "O", "O", "O", "O", "O", "O", "O"], "fractional_positions": [[0.013, 0.075, 0.188], [0.013, 0.425, 0.688], [0.420, 0.683, 0.202], [0.420, 0.817, 0.702], [0.580, 0.183, 0.298], [0.580, 0.317, 0.798], [0.987, 0.575, 0.312], [0.987, 0.925, 0.812], [0.000, 0.000, 0.500], [0.000, 0.500, 0.000], [0.076, 0.241, 0.978], [0.076, 0.259, 0.478], [0.924, 0.741, 0.522], [0.924, 0.759, 0.022], [0.044, 0.607, 0.125], [0.044, 0.893, 0.625], [0.109, 0.191, 0.859], [0.109, 0.309, 0.359], [0.125, 0.670, 0.554], [0.125, 0.830, 0.054], [0.139, 0.129, 0.600], [0.139, 0.371, 0.100], [0.242, 0.145, 0.107], [0.242, 0.355, 0.607], [0.401, 0.718, 0.964], [0.401, 0.782, 0.464], [0.433, 0.061, 0.847], [0.433, 0.439, 0.347], [0.449, 0.537, 0.541], [0.449, 0.963, 0.041], [0.458, 0.504, 0.025], [0.458, 0.996, 0.525], [0.486, 0.704, 0.916], [0.486, 0.796, 0.416], [0.514, 0.204, 0.584], [0.514, 0.296, 0.084], [0.542, 0.004, 0.475], [0.542, 0.496, 0.975], [0.551, 0.037, 0.959], [0.551, 0.463, 0.459], [0.567, 0.561, 0.653], [0.567, 0.939, 0.153], [0.599, 0.218, 0.536], [0.599, 0.282, 0.036], [0.758, 0.645, 0.393], [0.758, 0.855, 0.893], [0.861, 0.629, 0.900], [0.861, 0.871, 0.400], [0.875, 0.170, 0.946], [0.875, 0.330, 0.446], [0.891, 0.691, 0.641], [0.891, 0.809, 0.141], [0.956, 0.107, 0.375], [0.956, 0.393, 0.875]], "ef_ev_per_fu": -17.95, "crystal_system": "monoclinic", "e_above_lowest_polymorph_ev_per_fu": 0.00}

---

{"formula": "K2TaCuI6", "functional": "GGA-PBE", "state": "optimized geometry", "cell": [[0.000, 5.723, 5.723], [5.723, 0.000, 5.723], [5.723, 5.723, 0.000]], "species": ["K", "K", "Ta", "Cu", "I", "I", "I", "I", "I", "I"], "fractional_positions": [[0.250, 0.250, 0.250], [0.750, 0.750, 0.750], [0.000, 0.000, 0.000], [0.500, 0.500, 0.500], [0.249, 0.249, 0.751], [0.249, 0.751, 0.249], [0.249, 0.751, 0.751], [0.751, 0.249, 0.249], [0.751, 0.249, 0.751], [0.751, 0.751, 0.249]], "ef_ev_per_fu": -8.09, "crystal_system": "cubic"}

---

{"formula": "La2Cu2I", "functional": "GGA-PBE", "state": "optimized geometry", "cell": [[4.259, 0.000, 0.000], [-2.130, 3.688, 0.000], [0.000, 0.000, 17.590]], "species": ["La", "La", "La", "La", "Cu", "Cu", "Cu", "Cu", "I", "I"], "fractional_positions": [[0.000, 0.000, 0.107], [0.000, 0.000, 0.393], [0.000, 0.000, 0.607], [0.000, 0.000, 0.893], [0.333, 0.667, 0.001], [0.333, 0.667, 0.499], [0.667, 0.333, 0.501], [0.667, 0.333, 0.999], [0.333, 0.667, 0.750], [0.667, 0.333, 0.250]], "ef_ev_per_fu": -3.38, "crystal_system": "hexagonal", "e_above_lowest_polymorph_ev_per_fu": 0.02}